w | Below is a geometry-optimized AlSi2HC6NCl3 structure, with properties calculated at the PBE level.

Results
- space group = Pbca
- magnetization (μB/f.u.) = 1.02

a b c (Å): 9.520 16.673 17.841
angles (deg): 90.00 90.00 90.00
Sites, in units of the cell vectors:
1 Al 0.029 0.096 0.134
2 Al 0.029 0.404 0.634
3 Al 0.471 0.596 0.134
4 Al 0.471 0.904 0.634
5 Al 0.529 0.096 0.366
6 Al 0.529 0.404 0.866
7 Al 0.971 0.596 0.366
8 Al 0.971 0.904 0.866
9 Si 0.141 0.567 0.097
10 Si 0.141 0.933 0.597
11 Si 0.162 0.184 0.882
12 Si 0.162 0.316 0.382
13 Si 0.338 0.684 0.882
14 Si 0.338 0.816 0.382
15 Si 0.359 0.067 0.097
16 Si 0.359 0.433 0.597
17 Si 0.641 0.567 0.403
18 Si 0.641 0.933 0.903
19 Si 0.662 0.184 0.618
20 Si 0.662 0.316 0.118
21 Si 0.838 0.684 0.618
22 Si 0.838 0.816 0.118
23 Si 0.859 0.067 0.403
24 Si 0.859 0.433 0.903
25 H 0.166 0.018 0.040
26 H 0.166 0.482 0.540
27 H 0.334 0.518 0.040
28 H 0.334 0.982 0.540
29 H 0.666 0.018 0.460
30 H 0.666 0.482 0.960
31 H 0.834 0.518 0.460
32 H 0.834 0.982 0.960
33 C 0.004 0.223 0.821
34 C 0.004 0.277 0.321
35 C 0.015 0.533 0.023
36 C 0.015 0.967 0.523
37 C 0.017 0.230 0.384
38 C 0.017 0.270 0.884
39 C 0.021 0.111 0.472
40 C 0.021 0.389 0.972
41 C 0.025 0.660 0.086
42 C 0.025 0.840 0.586
43 C 0.068 0.164 0.786
44 C 0.068 0.336 0.286
45 C 0.432 0.664 0.786
46 C 0.432 0.836 0.286
47 C 0.475 0.160 0.086
48 C 0.475 0.340 0.586
49 C 0.479 0.611 0.472
50 C 0.479 0.889 0.972
51 C 0.483 0.730 0.384
52 C 0.483 0.770 0.884
53 C 0.485 0.033 0.023
54 C 0.485 0.467 0.523
55 C 0.496 0.723 0.821
56 C 0.496 0.777 0.321
57 C 0.504 0.223 0.679
58 C 0.504 0.277 0.179
59 C 0.515 0.533 0.477
60 C 0.515 0.967 0.977
61 C 0.517 0.230 0.116
62 C 0.517 0.270 0.616
63 C 0.521 0.111 0.028
64 C 0.521 0.389 0.528
65 C 0.525 0.660 0.414
66 C 0.525 0.840 0.914
67 C 0.568 0.164 0.714
68 C 0.568 0.336 0.214
69 C 0.932 0.664 0.714
70 C 0.932 0.836 0.214
71 C 0.975 0.160 0.414
72 C 0.975 0.340 0.914
73 C 0.979 0.611 0.028
74 C 0.979 0.889 0.528
75 C 0.983 0.730 0.116
76 C 0.983 0.770 0.616
77 C 0.985 0.033 0.477
78 C 0.985 0.467 0.977
79 C 0.996 0.723 0.679
80 C 0.996 0.777 0.179
81 N 0.187 0.060 0.081
82 N 0.187 0.440 0.581
83 N 0.313 0.560 0.081
84 N 0.313 0.940 0.581
85 N 0.687 0.060 0.419
86 N 0.687 0.440 0.919
87 N 0.813 0.560 0.419
88 N 0.813 0.940 0.919
89 Cl 0.004 0.223 0.114
90 Cl 0.004 0.277 0.614
91 Cl 0.063 0.068 0.251
92 Cl 0.063 0.432 0.751
93 Cl 0.150 0.532 0.409
94 Cl 0.150 0.968 0.909
95 Cl 0.350 0.032 0.409
96 Cl 0.350 0.468 0.909
97 Cl 0.437 0.568 0.251
98 Cl 0.437 0.932 0.751
99 Cl 0.496 0.723 0.114
100 Cl 0.496 0.777 0.614
101 Cl 0.504 0.223 0.386
102 Cl 0.504 0.277 0.886
103 Cl 0.563 0.068 0.249
104 Cl 0.563 0.432 0.749
105 Cl 0.650 0.532 0.091
106 Cl 0.650 0.968 0.591
107 Cl 0.850 0.032 0.091
108 Cl 0.850 0.468 0.591
109 Cl 0.937 0.568 0.249
110 Cl 0.937 0.932 0.749
111 Cl 0.996 0.723 0.386
112 Cl 0.996 0.777 0.886

x | Below is a geometry-optimized AlSi2HC6NCl3 structure, with properties calculated at the PBE level.

Results
- space group = Pbca
- magnetization (μB/f.u.) = 1.00

a b c (Å): 9.106 17.609 16.480
angles (deg): 90.00 90.00 90.00
Sites, in units of the cell vectors:
1 Al 0.017 0.087 0.150
2 Al 0.017 0.413 0.650
3 Al 0.483 0.587 0.150
4 Al 0.483 0.913 0.650
5 Al 0.517 0.087 0.350
6 Al 0.517 0.413 0.850
7 Al 0.983 0.587 0.350
8 Al 0.983 0.913 0.850
9 Si 0.120 0.571 0.111
10 Si 0.120 0.929 0.611
11 Si 0.162 0.185 0.909
12 Si 0.162 0.315 0.409
13 Si 0.338 0.685 0.909
14 Si 0.338 0.815 0.409
15 Si 0.380 0.071 0.111
16 Si 0.380 0.429 0.611
17 Si 0.620 0.571 0.389
18 Si 0.620 0.929 0.889
19 Si 0.662 0.185 0.591
20 Si 0.662 0.315 0.091
21 Si 0.838 0.685 0.591
22 Si 0.838 0.815 0.091
23 Si 0.880 0.071 0.389
24 Si 0.880 0.429 0.889
25 H 0.178 0.008 0.079
26 H 0.178 0.492 0.579
27 H 0.322 0.508 0.079
28 H 0.322 0.992 0.579
29 H 0.678 0.008 0.421
30 H 0.678 0.492 0.921
31 H 0.822 0.508 0.421
32 H 0.822 0.992 0.921
33 C 0.000 0.217 0.840
34 C 0.000 0.283 0.340
35 C 0.000 0.717 0.660
36 C 0.000 0.783 0.160
37 C 0.013 0.533 0.022
38 C 0.013 0.967 0.522
39 C 0.015 0.658 0.079
40 C 0.015 0.842 0.579
41 C 0.025 0.228 0.399
42 C 0.025 0.272 0.899
43 C 0.036 0.107 0.483
44 C 0.036 0.393 0.983
45 C 0.050 0.152 0.814
46 C 0.050 0.348 0.314
47 C 0.450 0.652 0.814
48 C 0.450 0.848 0.314
49 C 0.464 0.607 0.483
50 C 0.464 0.893 0.983
51 C 0.475 0.728 0.399
52 C 0.475 0.772 0.899
53 C 0.485 0.158 0.079
54 C 0.485 0.342 0.579
55 C 0.487 0.033 0.022
56 C 0.487 0.467 0.522
57 C 0.500 0.217 0.660
58 C 0.500 0.283 0.160
59 C 0.500 0.717 0.840
60 C 0.500 0.783 0.340
61 C 0.513 0.533 0.478
62 C 0.513 0.967 0.978
63 C 0.515 0.658 0.421
64 C 0.515 0.842 0.921
65 C 0.525 0.228 0.101
66 C 0.525 0.272 0.601
67 C 0.536 0.107 0.017
68 C 0.536 0.393 0.517
69 C 0.550 0.152 0.686
70 C 0.550 0.348 0.186
71 C 0.950 0.652 0.686
72 C 0.950 0.848 0.186
73 C 0.964 0.607 0.017
74 C 0.964 0.893 0.517
75 C 0.975 0.728 0.101
76 C 0.975 0.772 0.601
77 C 0.985 0.158 0.421
78 C 0.985 0.342 0.921
79 C 0.987 0.033 0.478
80 C 0.987 0.467 0.978
81 N 0.198 0.054 0.115
82 N 0.198 0.446 0.615
83 N 0.302 0.554 0.115
84 N 0.302 0.946 0.615
85 N 0.698 0.054 0.385
86 N 0.698 0.446 0.885
87 N 0.802 0.554 0.385
88 N 0.802 0.946 0.885
89 Cl 0.003 0.529 0.221
90 Cl 0.003 0.971 0.721
91 Cl 0.019 0.705 0.339
92 Cl 0.019 0.795 0.839
93 Cl 0.147 0.530 0.419
94 Cl 0.147 0.970 0.919
95 Cl 0.353 0.030 0.419
96 Cl 0.353 0.470 0.919
97 Cl 0.481 0.205 0.339
98 Cl 0.481 0.295 0.839
99 Cl 0.497 0.029 0.221
100 Cl 0.497 0.471 0.721
101 Cl 0.503 0.529 0.279
102 Cl 0.503 0.971 0.779
103 Cl 0.519 0.705 0.161
104 Cl 0.519 0.795 0.661
105 Cl 0.647 0.530 0.081
106 Cl 0.647 0.970 0.581
107 Cl 0.853 0.030 0.081
108 Cl 0.853 0.470 0.581
109 Cl 0.981 0.205 0.161
110 Cl 0.981 0.295 0.661
111 Cl 0.997 0.029 0.279
112 Cl 0.997 0.471 0.779

Quick ranking, most stable first: x, w.

w | Below is a geometry-optimized AlC5NCl structure, with properties calculated at the PBE level.

Results
- space group = P2_1/m
- magnetization (μB/f.u.) = 1.00

a b c (Å): 6.138 8.369 6.434
angles (deg): 90.00 110.99 90.00
Sites, in units of the cell vectors:
1 Al 0.103 0.250 0.301
2 Al 0.897 0.750 0.699
3 C 0.217 0.665 0.831
4 C 0.217 0.835 0.831
5 C 0.389 0.250 0.228
6 C 0.402 0.650 0.730
7 C 0.402 0.850 0.730
8 C 0.598 0.150 0.270
9 C 0.598 0.350 0.270
10 C 0.611 0.750 0.772
11 C 0.783 0.165 0.169
12 C 0.783 0.335 0.169
13 N 0.381 0.750 0.538
14 N 0.619 0.250 0.462
15 Cl 0.212 0.250 0.656
16 Cl 0.788 0.750 0.344

x | Below is a geometry-optimized AlC5NCl structure, with properties calculated at the PBE level.

Results
- space group = P2_1/m
- magnetization (μB/f.u.) = 1.00

a b c (Å): 5.990 11.328 6.427
angles (deg): 90.00 106.08 90.00
Sites, in units of the cell vectors:
1 Al 0.057 0.250 0.370
2 Al 0.943 0.750 0.630
3 C 0.137 0.605 0.722
4 C 0.137 0.895 0.722
5 C 0.334 0.649 0.751
6 C 0.334 0.851 0.751
7 C 0.482 0.750 0.757
8 C 0.518 0.250 0.243
9 C 0.666 0.149 0.249
10 C 0.666 0.351 0.249
11 C 0.863 0.105 0.278
12 C 0.863 0.395 0.278
13 N 0.308 0.250 0.250
14 N 0.692 0.750 0.750
15 Cl 0.187 0.250 0.713
16 Cl 0.813 0.750 0.287

Quick ranking, most stable first: x, w.

w | Below is a geometry-optimized AlH14C4NOF4 structure, with properties calculated at the PBE level.

Results
- space group = P-1
- magnetization (μB/f.u.) = 0.00

a b c (Å): 6.926 9.246 9.738
angles (deg): 71.21 73.83 82.45
Sites, in units of the cell vectors:
1 Al 0.133 0.462 0.380
2 Al 0.867 0.538 0.620
3 H 0.032 0.225 0.014
4 H 0.049 0.057 0.170
5 H 0.097 0.243 0.174
6 H 0.105 0.679 0.204
7 H 0.145 0.810 0.586
8 H 0.180 0.570 0.794
9 H 0.204 0.988 0.598
10 H 0.217 0.239 0.731
11 H 0.246 0.588 0.954
12 H 0.289 0.001 0.815
13 H 0.312 0.828 0.965
14 H 0.400 0.843 0.570
15 H 0.430 0.618 0.777
16 H 0.493 0.863 0.787
17 H 0.507 0.137 0.213
18 H 0.570 0.382 0.223
19 H 0.600 0.157 0.430
20 H 0.688 0.172 0.035
21 H 0.711 0.999 0.185
22 H 0.754 0.412 0.046
23 H 0.783 0.761 0.269
24 H 0.796 0.012 0.402
25 H 0.820 0.430 0.206
26 H 0.855 0.190 0.414
27 H 0.895 0.321 0.796
28 H 0.903 0.757 0.826
29 H 0.951 0.943 0.830
30 H 0.968 0.775 0.986
31 C 0.010 0.180 0.136
32 C 0.242 0.865 0.624
33 C 0.271 0.631 0.832
34 C 0.335 0.879 0.844
35 C 0.665 0.121 0.156
36 C 0.729 0.369 0.168
37 C 0.758 0.135 0.376
38 C 0.990 0.820 0.864
39 N 0.209 0.798 0.790
40 N 0.791 0.202 0.210
41 O 0.177 0.577 0.201
42 O 0.823 0.423 0.799
43 F 0.039 0.191 0.751
44 F 0.135 0.548 0.521
45 F 0.235 0.284 0.400
46 F 0.358 0.275 0.720
47 F 0.642 0.725 0.280
48 F 0.765 0.716 0.600
49 F 0.865 0.452 0.479
50 F 0.961 0.809 0.249

x | Below is a geometry-optimized AlH14C4NOF4 structure, with properties calculated at the PBE level.

Results
- space group = P-1
- magnetization (μB/f.u.) = 2.00

a b c (Å): 7.941 9.019 9.472
angles (deg): 68.17 77.90 71.92
Sites, in units of the cell vectors:
1 Al 0.131 0.419 0.398
2 Al 0.869 0.581 0.602
3 H 0.011 0.000 0.216
4 H 0.021 0.175 0.044
5 H 0.060 0.176 0.226
6 H 0.159 0.833 0.569
7 H 0.165 0.563 0.812
8 H 0.177 0.138 0.456
9 H 0.209 0.570 0.989
10 H 0.227 0.698 0.242
11 H 0.284 0.808 0.994
12 H 0.294 0.980 0.820
13 H 0.324 0.225 0.731
14 H 0.388 0.551 0.837
15 H 0.402 0.809 0.600
16 H 0.460 0.788 0.843
17 H 0.540 0.212 0.157
18 H 0.598 0.191 0.400
19 H 0.612 0.449 0.163
20 H 0.676 0.775 0.269
21 H 0.706 0.020 0.180
22 H 0.716 0.192 0.006
23 H 0.773 0.302 0.758
24 H 0.791 0.430 0.011
25 H 0.823 0.862 0.544
26 H 0.835 0.437 0.188
27 H 0.841 0.167 0.431
28 H 0.940 0.824 0.774
29 H 0.979 0.825 0.956
30 H 0.989 0.000 0.784
31 C 0.014 0.866 0.832
32 C 0.246 0.602 0.865
33 C 0.258 0.835 0.633
34 C 0.320 0.846 0.870
35 C 0.680 0.154 0.130
36 C 0.742 0.165 0.367
37 C 0.754 0.398 0.135
38 C 0.986 0.134 0.168
39 N 0.209 0.789 0.799
40 N 0.791 0.211 0.201
41 O 0.074 0.232 0.440
42 O 0.926 0.768 0.560
43 F 0.107 0.596 0.231
44 F 0.130 0.487 0.551
45 F 0.301 0.770 0.235
46 F 0.359 0.352 0.350
47 F 0.641 0.648 0.650
48 F 0.699 0.230 0.765
49 F 0.870 0.513 0.449
50 F 0.893 0.404 0.769

Quick ranking, most stable first: w, x.